# MgZn2Fe4O8 | Materials Project | PBE with a Hubbard U | relaxed
# Total energy after the MP2020 corrections   -6.858 eV per atom
# Total DFT energy (no corrections)   -5.89 eV per atom
# E above lowest polymorph   11.9 meV/atom
# Spin magnetization   36.00 Bohr magnetons per cell
data_MgZn2Fe4O8
_space_group_name_H-M_alt 'C 1 2 1'
_space_group_IT_number 5
_cell_length_a 15.616
_cell_length_b 3.029
_cell_length_c 10.123
_cell_angle_alpha 90.00
_cell_angle_beta 129.34
_cell_angle_gamma 90.00
loop_
_space_group_symop_operation_xyz
'x,y,z'
'-x,y,-z'
'x+1/2,y+1/2,z'
'-x+1/2,y+1/2,-z'
loop_
_atom_site_label
_atom_site_type_symbol
_atom_site_fract_x
_atom_site_fract_y
_atom_site_fract_z
_atom_site_occupancy
Mg1 Mg 0.000 0.000 0.000 1
Zn1 Zn 0.213 0.822 0.684 1
Fe1 Fe 0.130 0.849 0.342 1
Fe2 Fe 0.149 0.496 0.961 1
O1 O 0.045 0.987 0.847 1
O2 O 0.117 0.483 0.153 1
O3 O 0.175 0.313 0.523 1
O4 O 0.231 0.508 0.871 1


# MgZn2Fe4O8 | Materials Project | PBE with a Hubbard U | relaxed
# Total energy after the MP2020 corrections   -6.870 eV per atom
# Total DFT energy (no corrections)   -5.90 eV per atom
# E above lowest polymorph   0.0 meV/atom
# Spin magnetization   16.00 Bohr magnetons per cell
data_MgZn2Fe4O8
_space_group_name_H-M_alt 'C 1 2/m 1'
_space_group_IT_number 12
_cell_length_a 10.451
_cell_length_b 5.983
_cell_length_c 6.310
_cell_angle_alpha 90.00
_cell_angle_beta 123.34
_cell_angle_gamma 90.00
loop_
_space_group_symop_operation_xyz
'x,y,z'
'-x,-y,-z'
'-x,y,-z'
'x,-y,z'
'x+1/2,y+1/2,z'
'-x+1/2,-y+1/2,-z'
'-x+1/2,y+1/2,-z'
'x+1/2,-y+1/2,z'
loop_
_atom_site_label
_atom_site_type_symbol
_atom_site_fract_x
_atom_site_fract_y
_atom_site_fract_z
_atom_site_occupancy
Mg1 Mg 0.000 0.000 0.000 1
Zn1 Zn 0.165 0.000 0.466 1
Fe1 Fe 0.000 0.500 0.000 1
Fe2 Fe 0.000 0.500 0.500 1
Fe3 Fe 0.250 0.250 0.000 1
O1 O 0.006 0.256 0.249 1
O2 O 0.223 0.500 0.181 1
O3 O 0.238 0.500 0.735 1